(1)
Below is a geometry-optimized GaN structure, with properties calculated at the GGA-PBE level.

Structure (extended XYZ):
```
100
Lattice="10.900 0.000 0.000 0.517 11.405 0.000 0.239 0.078 11.835" Properties=species:S:1:pos:R:3 pbc="T T T"
Ga 0.000 0.000 0.000
Ga 0.280 5.390 0.829
Ga 0.651 11.371 3.638
Ga 0.497 1.234 7.133
Ga 0.959 6.592 8.351
Ga 0.847 2.758 1.325
Ga 1.966 10.899 8.839
Ga 1.826 6.681 3.395
Ga 2.281 6.849 11.311
Ga 2.655 9.059 3.918
Ga 2.583 1.352 3.939
Ga 3.205 5.349 8.438
Ga 3.349 7.830 7.213
Ga 3.165 4.761 2.276
Ga 3.547 10.577 6.197
Ga 3.248 4.394 4.823
Ga 3.248 1.081 9.750
Ga 3.234 1.542 0.811
Ga 3.624 2.146 7.228
Ga 4.137 4.516 11.522
Ga 4.660 6.672 4.652
Ga 5.192 9.423 8.641
Ga 5.177 7.116 1.398
Ga 5.064 3.133 3.185
Ga 5.409 6.951 9.803
Ga 5.819 9.223 4.501
Ga 5.626 1.562 11.319
Ga 5.958 11.342 3.137
Ga 6.030 4.805 7.050
Ga 6.027 3.253 9.081
Ga 6.359 0.772 8.956
Ga 6.592 4.454 0.453
Ga 6.904 4.538 4.218
Ga 7.334 8.969 10.730
Ga 7.364 7.453 6.026
Ga 7.605 10.011 6.878
Ga 7.474 1.505 0.899
Ga 7.805 7.348 3.115
Ga 8.623 10.476 1.662
Ga 8.409 0.988 4.259
Ga 8.932 8.202 8.409
Ga 8.940 0.791 7.069
Ga 9.332 6.544 11.389
Ga 9.561 10.847 10.150
Ga 9.491 9.402 4.477
Ga 9.239 3.916 2.300
Ga 9.933 6.052 4.213
Ga 10.657 8.208 1.630
Ga 10.619 2.720 4.316
Ga 11.306 8.554 10.842
N 0.920 6.054 5.247
N 0.940 2.853 9.212
N 0.908 1.764 3.056
N 1.016 2.589 5.916
N 1.293 6.225 6.378
N 1.443 3.712 9.751
N 1.334 1.222 0.234
N 2.505 10.942 4.573
N 2.409 2.623 5.562
N 2.762 8.845 1.692
N 2.685 3.470 0.877
N 3.261 9.689 7.933
N 3.249 7.951 1.058
N 3.739 10.463 11.161
N 3.748 5.980 10.298
N 4.048 8.566 5.345
N 4.308 9.544 10.789
N 4.176 1.411 2.798
N 4.443 3.914 7.821
N 4.535 0.389 6.651
N 4.860 5.200 1.346
N 5.761 10.134 1.304
N 5.932 11.143 7.505
N 5.702 3.568 10.943
N 5.862 7.644 3.151
N 6.249 5.891 5.498
N 6.533 7.288 11.513
N 6.644 6.108 8.452
N 6.788 10.019 0.736
N 7.248 3.297 5.822
N 7.511 6.281 11.809
N 7.492 6.959 7.949
N 7.294 0.538 2.686
N 7.675 2.153 5.837
N 7.899 3.293 1.149
N 8.580 11.348 8.606
N 8.327 5.407 3.243
N 8.812 10.855 5.581
N 8.916 7.590 4.884
N 8.850 3.339 10.051
N 9.014 8.870 2.543
N 9.267 8.349 10.397
N 8.907 0.067 0.197
N 9.427 2.365 10.034
N 9.572 4.375 6.991
N 9.822 4.925 7.924
N 11.133 9.100 7.273
N 10.994 6.503 2.549
N 11.282 9.211 6.157
N 11.503 10.418 10.189
```

Results
- Total magnetic moment: 0.0 μB/f.u.
- VASP energy: -548.1 eV/cell
- ΔE_f: 0.021 eV per atom
- Space-group type: P1
- Density: 4.73 g cm⁻³

---

(2)
Below is a geometry-optimized GaN structure, with properties calculated at the GGA-PBE level.

Structure (extended XYZ):
```
100
Lattice="11.244 0.000 0.000 -0.746 11.436 0.000 -0.064 -0.585 11.558" Properties=species:S:1:pos:R:3 pbc="T T T"
Ga 0.000 0.000 0.000
Ga -0.366 4.724 8.144
Ga -0.305 7.723 2.085
Ga 0.051 4.725 3.999
Ga 0.297 8.101 8.471
Ga 0.823 2.282 1.508
Ga 0.548 5.823 10.652
Ga 1.484 2.009 4.446
Ga 1.578 6.262 7.196
Ga 1.475 10.189 5.303
Ga 1.768 7.752 4.441
Ga 2.182 2.957 7.031
Ga 2.395 1.211 10.086
Ga 2.718 4.091 11.231
Ga 2.942 8.155 1.910
Ga 3.347 2.048 1.778
Ga 3.491 0.067 7.054
Ga 3.540 4.759 4.883
Ga 3.382 10.749 3.144
Ga 3.784 4.823 8.959
Ga 4.502 6.892 6.548
Ga 4.921 1.984 4.758
Ga 4.874 2.390 8.334
Ga 4.851 7.898 3.838
Ga 4.760 10.350 5.226
Ga 5.364 2.598 10.751
Ga 5.301 8.888 1.022
Ga 5.913 4.043 6.694
Ga 6.229 7.133 9.294
Ga 7.259 -0.118 3.215
Ga 6.841 6.035 4.161
Ga 7.256 0.638 6.852
Ga 7.163 8.542 6.165
Ga 7.710 3.413 0.236
Ga 7.774 5.370 1.888
Ga 7.473 10.513 0.039
Ga 8.180 3.347 8.913
Ga 8.050 8.560 2.626
Ga 8.126 7.346 11.170
Ga 8.290 6.391 7.767
Ga 8.782 1.328 1.421
Ga 8.961 3.482 5.974
Ga 9.268 -0.005 5.129
Ga 9.127 5.025 10.809
Ga 8.817 10.329 8.295
Ga 9.836 7.959 4.567
Ga 10.340 2.078 10.370
Ga 10.537 1.425 7.355
Ga 10.290 8.500 10.747
Ga 10.267 11.056 3.311
N -0.060 4.161 1.252
N 0.030 6.788 3.860
N 0.386 2.659 6.116
N 0.006 9.235 6.676
N 0.177 7.790 0.318
N 0.673 1.171 10.986
N 1.461 0.090 4.123
N 1.550 10.989 0.652
N 1.584 10.518 9.599
N 2.073 4.596 7.976
N 1.929 9.966 8.628
N 2.016 10.116 1.242
N 2.401 4.852 2.945
N 2.367 5.533 2.002
N 3.009 1.607 8.216
N 2.718 6.446 5.608
N 3.121 2.891 5.247
N 2.766 7.551 10.550
N 3.532 2.199 11.468
N 3.458 8.187 9.939
N 4.549 1.145 2.955
N 4.730 3.898 2.890
N 5.172 0.086 0.287
N 4.746 6.378 8.356
N 4.876 6.338 0.498
N 4.667 10.638 8.822
N 5.361 0.586 6.304
N 5.378 4.494 2.156
N 5.368 5.438 5.398
N 5.199 8.525 5.755
N 5.518 5.417 11.222
N 5.996 0.036 11.393
N 5.500 9.898 8.703
N 6.314 8.288 10.923
N 7.120 2.754 3.747
N 6.756 9.819 1.959
N 7.762 1.258 8.766
N 7.764 4.401 7.234
N 7.997 3.448 4.065
N 7.582 10.396 6.584
N 7.894 7.702 4.513
N 8.592 0.599 9.375
N 8.307 7.109 1.386
N 8.816 1.604 6.181
N 10.165 2.964 8.683
N 9.928 9.156 2.968
N 10.704 0.835 1.763
N 10.516 4.201 0.223
N 10.165 8.759 6.339
N 10.920 3.923 6.001
```

Results
- Total magnetic moment: 0.0 μB/f.u.
- VASP energy: -545.4 eV/cell
- ΔE_f: 0.047 eV per atom
- Space-group type: P1
- Density: 4.68 g cm⁻³

---

(3)
Below is a geometry-optimized GaN structure, with properties calculated at the GGA-PBE level.

Structure (extended XYZ):
```
8
Lattice="3.212 0.000 0.000 -1.606 2.781 0.000 0.000 0.000 10.357" Properties=species:S:1:pos:R:3 pbc="T T T"
Ga 0.000 0.000 0.000
Ga 0.000 0.000 5.178
Ga 0.000 1.854 2.605
Ga 1.606 0.927 7.783
N 0.000 0.000 3.181
N 0.000 0.000 8.360
N 0.000 1.854 5.778
N 1.606 0.927 0.599
```

Results
- Total magnetic moment: 0.0 μB/f.u.
- VASP energy: -47.0 eV/cell
- ΔE_f: -0.368 eV per atom
- Space-group type: P6_3mc
- Density: 6.01 g cm⁻³

---

(4)
Below is a geometry-optimized Na3GaN2 structure, with properties calculated at the GGA-PBE level.

Structure (extended XYZ):
```
48
Lattice="-5.449 5.449 5.449 5.449 -5.449 5.449 5.449 5.449 -5.449" Properties=species:S:1:pos:R:3 pbc="T T T"
Na 4.368 -3.740 3.964
Na 7.157 1.485 -1.081
Na 3.964 4.368 -3.740
Na 6.529 -1.708 3.964
Na 9.189 1.485 1.081
Na 3.964 -1.081 3.740
Na 3.964 1.081 1.708
Na 3.740 3.964 -1.081
Na 6.529 1.708 1.485
Na 3.964 6.529 -1.708
Na 1.708 3.964 1.081
Na 4.368 3.740 1.485
Na 1.081 1.708 3.964
Na 3.740 1.485 4.368
Na 1.485 -1.081 7.157
Na -1.081 3.740 3.964
Na 1.708 1.485 6.529
Na 1.485 4.368 3.740
Na 1.485 6.529 1.708
Na -3.740 3.964 4.368
Na -1.081 7.157 1.485
Na 1.485 1.081 9.189
Na -1.708 3.964 6.529
Na 1.081 9.189 1.485
Ga 4.282 1.166 -1.166
Ga 6.615 -1.166 1.166
Ga 1.166 1.166 1.166
Ga 1.166 -1.166 4.282
Ga -1.166 4.282 1.166
Ga 1.166 6.615 -1.166
Ga -1.166 1.166 6.615
Ga 4.282 4.282 4.282
N 0.000 0.000 0.000
N 5.449 0.000 0.000
N 5.449 2.724 -2.081
N 2.724 2.081 0.000
N 2.081 0.000 2.724
N 7.529 0.000 2.724
N 2.724 -2.081 5.449
N 0.000 2.724 2.081
N 0.000 5.449 0.000
N 0.000 0.000 5.449
N 5.449 2.724 3.368
N 2.724 7.529 0.000
N -2.081 5.449 2.724
N 3.368 5.449 2.724
N 2.724 3.368 5.449
N 0.000 2.724 7.529
```

Results
- Total magnetic moment: 0.0 μB/f.u.
- VASP energy: -187.1 eV/cell
- ΔE_f: -0.074 eV per atom
- Space-group type: Ia-3
- Density: 3.42 g cm⁻³
- Polymorph energy (0 for the lowest one): 6.5 kJ/mol of atoms

---

(5)
Below is a geometry-optimized Na3GaN2 structure, with properties calculated at the GGA-PBE level.

Structure (extended XYZ):
```
24
Lattice="-4.050 4.050 6.339 4.050 -4.050 6.339 4.050 4.050 -6.339" Properties=species:S:1:pos:R:3 pbc="T T T"
Na 4.050 2.025 -3.166
Na 0.000 2.025 9.505
Na 2.157 0.132 1.585
Na 5.943 0.132 1.585
Na 0.000 2.025 0.004
Na 2.157 4.182 -1.585
Na 1.893 0.132 4.754
Na 2.157 3.918 1.585
Na 1.893 -0.132 7.924
Na 4.050 2.025 6.336
Na -1.893 3.918 4.754
Na 1.893 3.918 4.754
Ga 4.050 2.025 -0.148
Ga 0.000 2.025 3.022
Ga 4.050 2.025 3.317
Ga 0.000 2.025 6.487
N 2.283 2.025 -0.263
N 5.817 2.025 -0.263
N 0.000 0.258 2.907
N 4.050 0.258 3.432
N 0.000 3.792 2.907
N 4.050 3.792 3.432
N -1.767 2.025 6.602
N 1.767 2.025 6.602
```

Results
- Total magnetic moment: 0.0 μB/f.u.
- VASP energy: -95.2 eV/cell
- ΔE_f: -0.141 eV per atom
- Space-group type: I4_1/amd
- Density: 2.66 g cm⁻³
- Polymorph energy (0 for the lowest one): 0.0 kJ/mol of atoms

---

(6)
Below is a geometry-optimized Nd3GaN structure, with properties calculated at the GGA-PBE level.

Structure (extended XYZ):
```
5
Lattice="5.505 0.000 0.000 0.000 5.505 0.000 0.000 0.000 5.505" Properties=species:S:1:pos:R:3 pbc="T T T"
Nd 0.000 0.000 2.753
Nd 0.000 2.753 0.000
Nd 2.753 0.000 0.000
Ga 0.000 0.000 0.000
N 2.753 2.753 2.753
```

Results
- Total magnetic moment: 0.0 μB/f.u.
- VASP energy: -20.9 eV/cell
- ΔE_f: 0.881 eV per atom
- Space-group type: Pm-3m
- Density: 5.14 g cm⁻³

---

Copy entry 1 word for word.
Below is a geometry-optimized GaN structure, with properties calculated at the GGA-PBE level.

Structure (extended XYZ):
```
100
Lattice="10.900 0.000 0.000 0.517 11.405 0.000 0.239 0.078 11.835" Properties=species:S:1:pos:R:3 pbc="T T T"
Ga 0.000 0.000 0.000
Ga 0.280 5.390 0.829
Ga 0.651 11.371 3.638
Ga 0.497 1.234 7.133
Ga 0.959 6.592 8.351
Ga 0.847 2.758 1.325
Ga 1.966 10.899 8.839
Ga 1.826 6.681 3.395
Ga 2.281 6.849 11.311
Ga 2.655 9.059 3.918
Ga 2.583 1.352 3.939
Ga 3.205 5.349 8.438
Ga 3.349 7.830 7.213
Ga 3.165 4.761 2.276
Ga 3.547 10.577 6.197
Ga 3.248 4.394 4.823
Ga 3.248 1.081 9.750
Ga 3.234 1.542 0.811
Ga 3.624 2.146 7.228
Ga 4.137 4.516 11.522
Ga 4.660 6.672 4.652
Ga 5.192 9.423 8.641
Ga 5.177 7.116 1.398
Ga 5.064 3.133 3.185
Ga 5.409 6.951 9.803
Ga 5.819 9.223 4.501
Ga 5.626 1.562 11.319
Ga 5.958 11.342 3.137
Ga 6.030 4.805 7.050
Ga 6.027 3.253 9.081
Ga 6.359 0.772 8.956
Ga 6.592 4.454 0.453
Ga 6.904 4.538 4.218
Ga 7.334 8.969 10.730
Ga 7.364 7.453 6.026
Ga 7.605 10.011 6.878
Ga 7.474 1.505 0.899
Ga 7.805 7.348 3.115
Ga 8.623 10.476 1.662
Ga 8.409 0.988 4.259
Ga 8.932 8.202 8.409
Ga 8.940 0.791 7.069
Ga 9.332 6.544 11.389
Ga 9.561 10.847 10.150
Ga 9.491 9.402 4.477
Ga 9.239 3.916 2.300
Ga 9.933 6.052 4.213
Ga 10.657 8.208 1.630
Ga 10.619 2.720 4.316
Ga 11.306 8.554 10.842
N 0.920 6.054 5.247
N 0.940 2.853 9.212
N 0.908 1.764 3.056
N 1.016 2.589 5.916
N 1.293 6.225 6.378
N 1.443 3.712 9.751
N 1.334 1.222 0.234
N 2.505 10.942 4.573
N 2.409 2.623 5.562
N 2.762 8.845 1.692
N 2.685 3.470 0.877
N 3.261 9.689 7.933
N 3.249 7.951 1.058
N 3.739 10.463 11.161
N 3.748 5.980 10.298
N 4.048 8.566 5.345
N 4.308 9.544 10.789
N 4.176 1.411 2.798
N 4.443 3.914 7.821
N 4.535 0.389 6.651
N 4.860 5.200 1.346
N 5.761 10.134 1.304
N 5.932 11.143 7.505
N 5.702 3.568 10.943
N 5.862 7.644 3.151
N 6.249 5.891 5.498
N 6.533 7.288 11.513
N 6.644 6.108 8.452
N 6.788 10.019 0.736
N 7.248 3.297 5.822
N 7.511 6.281 11.809
N 7.492 6.959 7.949
N 7.294 0.538 2.686
N 7.675 2.153 5.837
N 7.899 3.293 1.149
N 8.580 11.348 8.606
N 8.327 5.407 3.243
N 8.812 10.855 5.581
N 8.916 7.590 4.884
N 8.850 3.339 10.051
N 9.014 8.870 2.543
N 9.267 8.349 10.397
N 8.907 0.067 0.197
N 9.427 2.365 10.034
N 9.572 4.375 6.991
N 9.822 4.925 7.924
N 11.133 9.100 7.273
N 10.994 6.503 2.549
N 11.282 9.211 6.157
N 11.503 10.418 10.189
```

Results
- Total magnetic moment: 0.0 μB/f.u.
- VASP energy: -548.1 eV/cell
- ΔE_f: 0.021 eV per atom
- Space-group type: P1
- Density: 4.73 g cm⁻³